[1]
The following is a PBE with a Hubbard U calculation of Li2VP2O8 after structural relaxation, from Materials Project.

The structure in CIF format:
```
data_Li2VP2O8
_chemical_formula_sum 'Li8 V4 P8 O32'
_symmetry_space_group_name_H-M 'P 1'
_symmetry_Int_Tables_number 1
_symmetry_space_group_name_Hall 'P 1'
_cell_length_a 17.384
_cell_length_b 4.897
_cell_length_c 6.594
_cell_angle_alpha 85.13
_cell_angle_beta 90.00
_cell_angle_gamma 90.00
loop_
_atom_site_label
_atom_site_type_symbol
_atom_site_fract_x
_atom_site_fract_y
_atom_site_fract_z
P1 P 0.787 0.920 0.971
Li1 Li 0.880 0.463 0.258
O1 O 0.947 0.525 0.963
Li2 Li 0.695 0.440 0.930
O2 O 0.930 0.123 0.709
O3 O 0.568 0.621 0.832
O4 O 0.192 0.728 0.725
O5 O 0.304 0.601 0.507
O6 O 0.305 0.231 0.224
O7 O 0.447 0.475 0.037
P2 P 0.714 0.417 0.470
O8 O 0.804 0.399 0.493
P3 P 0.037 0.518 0.975
P4 P 0.214 0.583 0.530
O9 O 0.430 0.877 0.291
O10 O 0.068 0.379 0.168
P5 P 0.537 0.482 0.025
Li3 Li 0.445 0.016 0.952
O11 O 0.554 0.032 0.455
O12 O 0.441 0.881 0.678
O13 O 0.335 0.191 0.851
P6 P 0.964 0.982 0.525
V1 V 0.870 0.460 0.728
O14 O 0.054 0.968 0.545
O15 O 0.804 0.235 0.924
O16 O 0.692 0.729 0.428
Li4 Li 0.117 0.034 0.262
P7 P 0.464 0.018 0.475
O17 O 0.835 0.809 0.149
O18 O 0.198 0.121 0.996
Li5 Li 0.195 0.560 0.070
O19 O 0.935 0.675 0.546
O20 O 0.068 0.381 0.786
V2 V 0.127 0.057 0.753
Li6 Li 0.380 0.537 0.742
P8 P 0.287 0.080 0.029
V3 V 0.370 0.540 0.272
V4 V 0.627 0.943 0.247
O21 O 0.192 0.271 0.572
O22 O 0.805 0.769 0.776
Li7 Li 0.945 0.984 0.048
O23 O 0.698 0.879 0.004
O24 O 0.176 0.704 0.338
O25 O 0.435 0.325 0.454
Li8 Li 0.617 0.966 0.738
O26 O 0.304 0.765 0.076
O27 O 0.941 0.119 0.322
O28 O 0.562 0.169 0.041
O29 O 0.062 0.831 0.959
O30 O 0.692 0.272 0.275
O31 O 0.676 0.296 0.662
O32 O 0.568 0.619 0.214
```

Values from the calculation:
The value obtained for the distance to the lowest polymorph of the same formula is 27 meV/atom. Its energy with MP2020 corrections is -0.27568 hartree per atom. Its space group is P2_1, No. 4. For the total energy, the calculation gives -6.95 eV per atom. For the formation energy, the calculation gives -2631 meV per atom.



[2]
The following is a PBE with a Hubbard U calculation of Li5V3P8O29 after structural relaxation, from Materials Project.

The structure in CIF format:
```
data_Li5V3P8O29
_chemical_formula_sum 'Li10 V6 P16 O58'
_symmetry_space_group_name_H-M 'P 1'
_symmetry_Int_Tables_number 1
_symmetry_space_group_name_Hall 'P 1'
_cell_length_a 9.819
_cell_length_b 9.784
_cell_length_c 14.051
_cell_angle_alpha 90.17
_cell_angle_beta 90.03
_cell_angle_gamma 60.07
loop_
_atom_site_label
_atom_site_type_symbol
_atom_site_fract_x
_atom_site_fract_y
_atom_site_fract_z
P1 P 0.681 0.231 0.660
O1 O 0.191 0.332 0.827
V1 V 0.000 0.568 0.249
Li1 Li 0.781 0.300 0.057
O2 O 0.511 0.670 0.670
O3 O 0.485 0.893 0.827
O4 O 0.790 0.000 0.249
Li2 Li 0.912 0.774 0.056
O5 O 0.251 0.664 0.661
O6 O 0.672 0.515 0.165
Li3 Li 0.666 0.669 0.884
O7 O 0.617 0.905 0.321
O8 O 0.383 0.517 0.177
O9 O 0.000 0.760 0.928
O10 O 0.665 0.251 0.158
V2 V 0.570 0.431 0.248
O11 O 0.010 0.206 0.258
O12 O 0.757 0.007 0.429
O13 O 0.885 0.627 0.826
O14 O 0.996 0.247 0.435
O15 O 0.812 0.675 0.165
P2 P 0.769 0.915 0.342
O16 O 0.664 0.814 0.677
O17 O 0.813 0.514 0.663
V3 V 0.434 0.565 0.751
O18 O 0.098 0.380 0.176
V4 V 0.003 0.428 0.749
O19 O 0.213 0.789 0.249
O20 O 0.241 0.762 0.430
O21 O 0.763 0.991 0.070
O22 O 0.482 0.182 0.824
O23 O 0.256 0.082 0.163
O24 O 0.663 0.082 0.665
O25 O 0.188 0.486 0.331
Li4 Li 0.322 0.767 0.563
O26 O 0.004 0.755 0.566
Li5 Li 0.680 0.226 0.445
Li6 Li 0.226 0.682 0.938
O27 O 0.341 0.331 0.977
P3 P 0.666 0.668 0.127
O28 O 0.513 0.818 0.169
O29 O 0.651 0.679 0.522
O30 O 0.788 0.212 0.751
P4 P 0.664 0.668 0.628
P5 P 0.235 0.083 0.660
O31 O 0.748 0.335 0.339
O32 O 0.915 0.748 0.339
P6 P 0.320 0.913 0.845
O33 O 0.898 0.483 0.324
P7 P 0.334 0.334 0.371
O34 O 0.762 0.237 0.571
O35 O 0.084 0.664 0.159
O36 O 0.336 0.747 0.843
O37 O 0.332 0.321 0.476
O38 O 0.520 0.379 0.673
O39 O 0.092 0.523 0.678
P8 P 0.334 0.331 0.872
O40 O 0.329 0.184 0.326
O41 O 0.214 0.997 0.752
P9 P 0.234 0.678 0.159
O42 O 0.337 0.920 0.338
O43 O 0.760 0.249 0.931
O44 O 0.338 0.483 0.832
O45 O 0.997 0.790 0.748
P10 P 0.086 0.682 0.656
O46 O 0.628 0.490 0.825
Li7 Li 0.084 0.691 0.441
P11 P 0.771 0.322 0.842
P12 P 0.323 0.768 0.341
O47 O 0.384 0.093 0.678
P13 P 0.685 0.084 0.156
Li8 Li 0.302 0.922 0.058
P14 P 0.909 0.771 0.839
O48 O 0.996 0.229 0.077
O49 O 0.246 0.755 0.069
O50 O 0.086 0.248 0.658
O51 O 0.657 0.676 0.020
V5 V 0.572 0.002 0.750
O52 O 0.246 0.994 0.570
O53 O 0.522 0.096 0.178
Li9 Li 0.905 0.323 0.565
V6 V 0.435 0.002 0.249
Li10 Li 0.225 0.092 0.445
O54 O 0.483 0.621 0.323
P15 P 0.087 0.230 0.161
O55 O 0.244 0.000 0.934
O56 O 0.488 0.324 0.333
O57 O 0.919 0.340 0.833
P16 P 0.912 0.322 0.344
O58 O 0.743 0.920 0.837
```

Values from the calculation:
The value obtained for the distance to the lowest polymorph of the same formula is 9 meV/atom. Its energy with MP2020 corrections is -0.27859 hartree per atom. Its space group is P1, No. 1. For the total energy, the calculation gives -7.02 eV per atom. For the formation energy, the calculation gives -2612 meV per atom.



[3]
The following is a PBE with a Hubbard U calculation of Li5V3P8O29 after structural relaxation, from Materials Project.

The structure in CIF format:
```
data_Li5V3P8O29
_chemical_formula_sum 'Li10 V6 P16 O58'
_symmetry_space_group_name_H-M 'P 1'
_symmetry_Int_Tables_number 1
_symmetry_space_group_name_Hall 'P 1'
_cell_length_a 9.761
_cell_length_b 9.786
_cell_length_c 14.123
_cell_angle_alpha 90.18
_cell_angle_beta 90.06
_cell_angle_gamma 60.23
loop_
_atom_site_label
_atom_site_type_symbol
_atom_site_fract_x
_atom_site_fract_y
_atom_site_fract_z
P1 P 0.086 0.680 0.655
O1 O 0.254 0.657 0.654
O2 O 0.811 0.663 0.178
O3 O 0.521 0.106 0.170
P2 P 0.676 0.662 0.631
O4 O 0.712 0.632 0.527
O5 O 0.076 0.659 0.161
O6 O 0.995 0.797 0.742
P3 P 0.313 0.911 0.844
Li1 Li 0.764 0.329 0.060
O7 O 0.489 0.184 0.830
O8 O 0.191 0.999 0.585
O9 O 0.921 0.742 0.333
P4 P 0.770 0.316 0.845
O10 O 0.192 0.019 0.764
V1 V 0.001 0.433 0.759
O11 O 0.542 0.380 0.669
O12 O 0.659 0.083 0.660
Li2 Li 0.323 0.772 0.563
O13 O 0.770 0.006 0.067
P5 P 0.313 0.774 0.346
O14 O 0.678 0.812 0.666
O15 O 0.188 0.327 0.825
O16 O 0.514 0.821 0.169
O17 O 0.089 0.524 0.676
Li3 Li 0.766 0.905 0.556
V2 V 0.435 0.565 0.745
O18 O 0.919 0.468 0.326
O19 O 0.229 0.776 0.436
P6 P 0.660 0.669 0.129
O20 O 0.334 0.334 0.972
P7 P 0.337 0.334 0.866
O21 O 0.983 0.241 0.439
Li4 Li 0.893 0.354 0.559
V3 V 0.562 0.437 0.252
O22 O 0.330 0.479 0.820
O23 O 0.747 0.341 0.332
P8 P 0.213 0.089 0.664
O24 O 0.985 0.221 0.083
O25 O 0.804 0.207 0.582
Li5 Li 0.043 0.937 0.997
O26 O 0.316 0.358 0.471
O27 O 0.210 0.796 0.085
Li6 Li 0.992 0.049 0.501
O28 O 0.183 0.490 0.319
O29 O 0.256 0.083 0.157
O30 O 0.771 0.233 0.935
O31 O 0.021 0.197 0.262
P9 P 0.918 0.780 0.840
P10 P 0.687 0.090 0.156
O32 O 0.791 0.197 0.760
O33 O 0.335 0.916 0.335
O34 O 0.000 0.759 0.565
O35 O 0.239 0.969 0.938
O36 O 0.095 0.376 0.171
O37 O 0.196 0.781 0.262
P11 P 0.218 0.690 0.163
O38 O 0.004 0.795 0.922
V4 V 0.563 0.999 0.749
O39 O 0.793 0.987 0.430
O40 O 0.470 0.912 0.827
O41 O 0.621 0.473 0.828
O42 O 0.812 0.516 0.686
O43 O 0.659 0.521 0.169
Li7 Li 0.330 0.905 0.064
P12 P 0.327 0.341 0.366
O44 O 0.471 0.620 0.332
O45 O 0.663 0.259 0.158
O46 O 0.374 0.081 0.668
Li8 Li 0.099 0.669 0.440
V5 V 0.993 0.568 0.246
Li9 Li 0.690 0.081 0.939
O47 O 0.329 0.191 0.324
O48 O 0.343 0.743 0.823
P13 P 0.777 0.915 0.340
O49 O 0.794 0.002 0.248
O50 O 0.478 0.334 0.321
O51 O 0.075 0.262 0.665
O52 O 0.515 0.675 0.659
O53 O 0.744 0.916 0.836
O54 O 0.370 0.527 0.167
P14 P 0.696 0.220 0.661
P15 P 0.914 0.313 0.345
V6 V 0.434 0.005 0.254
O55 O 0.918 0.338 0.838
O56 O 0.668 0.666 0.024
O57 O 0.923 0.618 0.831
P16 P 0.086 0.220 0.162
Li10 Li 0.331 0.339 0.105
O58 O 0.622 0.909 0.330
```

Values from the calculation:
The value obtained for the distance to the lowest polymorph of the same formula is 4 meV/atom. Its energy with MP2020 corrections is -0.27876 hartree per atom. Its space group is P1, No. 1. For the total energy, the calculation gives -7.03 eV per atom. For the formation energy, the calculation gives -2617 meV per atom.



- Which formula does entry 3 have?
  Li5V3P8O29